CeMgAu | r2SCAN | optimized geometry

E_form: -0.66 eV per atom
V: 220.4 Å³/cell
symmetry: No. 189
energy: -29.19 eV per atom

The structure in extended XYZ format:
```
9
Lattice="7.8696 0.0000 0.0000 -3.9348 6.8152 0.0000 0.0000 0.0000 4.1100" Properties=species:S:1:pos:R:3 pbc="T T T"
Ce -2.2971 3.9787 0.0000
Ce 1.6377 2.8365 0.0000
Ce 4.5942 0.0000 0.0000
Mg -0.9375 1.6238 2.0550
Mg 1.8750 0.0000 2.0550
Mg 2.9973 5.1915 2.0550
Au 0.0000 0.0000 0.0000
Au 0.0000 4.5435 2.0550
Au 3.9348 2.2717 2.0550
```